Density functional theory data (PBE-GGA) for a relaxed structure of MnH.

Structure (extended XYZ):
```
4
Lattice="2.6018 0.0000 0.0000 -1.3009 2.2532 0.0000 0.0000 0.0000 5.1025" Properties=species:S:1:pos:R:3 pbc="T T T"
Mn 0.0000 0.0000 0.0000
Mn 0.0000 0.0000 2.5513
H 0.0000 1.5022 1.2756
H 1.3009 0.7511 3.8269
```

## Properties
**ΔH_f (0 K)**: 27 kJ/mol of formula units
**V**: 7.48 Å³/atom
**Symmetry**: P6_3/mmc, No. 194
**Calculated density**: 6.21 Mg/m³
**Uncorrected energy**: -6.05 eV per atom